Crystalline CrBiO3 at its relaxed geometry, computed with PBE with a Hubbard U.

## Properties
The value obtained for the theoretical density is 8.26 g/cm³. The calculation puts the formation energy at -191.2 kJ per mole of atoms. The total energy is -34.23 eV per formula unit. As for the total magnetization: 0.00 μB per formula unit.

Geometry as CIF:
```
data_CrBiO3
_space_group_name_H-M_alt 'P 1'
_space_group_IT_number 1
_cell_length_a 5.568
_cell_length_b 5.568
_cell_length_c 9.764
_cell_angle_alpha 106.27
_cell_angle_beta 106.27
_cell_angle_gamma 60.19
loop_
_space_group_symop_operation_xyz
'x,y,z'
loop_
_atom_site_label
_atom_site_type_symbol
_atom_site_fract_x
_atom_site_fract_y
_atom_site_fract_z
Cr1 Cr 0.000 0.500 0.000
Cr2 Cr 0.238 0.762 0.750
Cr3 Cr 0.500 0.000 0.500
Cr4 Cr 0.762 0.238 0.250
Bi1 Bi 0.076 0.655 0.369
Bi2 Bi 0.345 0.924 0.131
Bi3 Bi 0.655 0.076 0.869
Bi4 Bi 0.924 0.345 0.631
O1 O 0.115 0.718 0.916
O2 O 0.126 0.169 0.841
O3 O 0.169 0.126 0.341
O4 O 0.282 0.885 0.584
O5 O 0.319 0.372 0.635
O6 O 0.372 0.319 0.135
O7 O 0.628 0.681 0.865
O8 O 0.681 0.628 0.365
O9 O 0.718 0.115 0.416
O10 O 0.831 0.874 0.659
O11 O 0.874 0.831 0.159
O12 O 0.885 0.282 0.084
```